(1)
Entry from the Materials Project database: a relaxed Tl2V8O21 crystal (PBE with a Hubbard U).

Unit cell a=7.981 b=7.981 c=15.284 alpha=90.08 beta=90.08 gamma=26.28
Fractional coordinates of all 31 atoms:
1 Tl 0.026 0.026 0.312
2 Tl 0.974 0.974 0.688
3 V 0.189 0.189 0.071
4 V 0.308 0.308 0.266
5 V 0.329 0.329 0.475
6 V 0.407 0.407 0.072
7 V 0.593 0.593 0.928
8 V 0.671 0.671 0.525
9 V 0.692 0.692 0.734
10 V 0.811 0.811 0.929
11 O 0.113 0.113 0.144
12 O 0.118 0.118 0.955
13 O 0.166 0.166 0.743
14 O 0.211 0.211 0.529
15 O 0.212 0.212 0.309
16 O 0.285 0.285 0.138
17 O 0.306 0.306 0.967
18 O 0.381 0.381 0.372
19 O 0.405 0.405 0.549
20 O 0.450 0.450 0.170
21 O 0.500 0.500 0.000
22 O 0.550 0.550 0.830
23 O 0.595 0.595 0.451
24 O 0.619 0.619 0.628
25 O 0.694 0.694 0.033
26 O 0.715 0.715 0.862
27 O 0.788 0.788 0.691
28 O 0.789 0.789 0.471
29 O 0.834 0.834 0.257
30 O 0.882 0.882 0.045
31 O 0.887 0.887 0.856

Summary:
For the energy of formation, the calculation gives -2.204 eV per atom. The total DFT energy (no corrections) comes out at -7.15 eV/atom.

=====

(2)
Entry from the Materials Project database: a relaxed TlW6O18 crystal (PBE with a Hubbard U).

Unit cell a=7.512 b=7.512 c=7.635 alpha=90.00 beta=90.00 gamma=120.00
Fractional coordinates of all 25 atoms:
1 Tl 0.000 0.000 0.000
2 W 0.000 0.476 0.748
3 W 0.000 0.525 0.250
4 W 0.475 0.475 0.250
5 W 0.476 0.000 0.748
6 W 0.524 0.524 0.748
7 W 0.525 0.000 0.250
8 O 0.000 0.497 0.499
9 O 0.000 0.504 0.999
10 O 0.209 0.425 0.249
11 O 0.210 0.784 0.751
12 O 0.216 0.425 0.751
13 O 0.216 0.791 0.249
14 O 0.425 0.209 0.249
15 O 0.425 0.216 0.751
16 O 0.496 0.496 0.999
17 O 0.497 0.000 0.499
18 O 0.503 0.503 0.499
19 O 0.504 0.000 0.999
20 O 0.575 0.784 0.249
21 O 0.575 0.790 0.751
22 O 0.784 0.210 0.751
23 O 0.784 0.575 0.249
24 O 0.790 0.575 0.751
25 O 0.791 0.216 0.249

Summary:
For the energy of formation, the calculation gives -2.123 eV per atom. For the energy above the most stable polymorph in this dataset, the calculation gives 0.50 eV per formula unit. The total DFT energy (no corrections) comes out at -7.33 eV/atom.

=====

(3)
Entry from the Materials Project database: a relaxed TlW3O9 crystal (PBE with a Hubbard U).

Unit cell a=7.528 b=7.528 c=3.874 alpha=90.00 beta=90.00 gamma=120.00
Fractional coordinates of all 13 atoms:
1 Tl 0.000 0.000 0.000
2 W 0.000 0.500 0.565
3 W 0.500 0.000 0.565
4 W 0.500 0.500 0.565
5 O 0.000 0.500 0.066
6 O 0.210 0.420 0.566
7 O 0.210 0.790 0.566
8 O 0.420 0.210 0.566
9 O 0.500 0.000 0.066
10 O 0.500 0.500 0.066
11 O 0.580 0.790 0.566
12 O 0.790 0.210 0.566
13 O 0.790 0.580 0.566

Summary:
For the energy of formation, the calculation gives -2.076 eV per atom. The total DFT energy (no corrections) comes out at -7.17 eV/atom.

=====

(4)
Entry from the Materials Project database: a relaxed TlW6O18 crystal (PBE with a Hubbard U).

Unit cell a=7.521 b=7.521 c=7.730 alpha=90.00 beta=90.00 gamma=120.00
Fractional coordinates of all 25 atoms:
1 Tl 0.000 0.000 0.000
2 W 0.000 0.500 0.250
3 W 0.000 0.500 0.750
4 W 0.500 0.000 0.250
5 W 0.500 0.000 0.750
6 W 0.500 0.500 0.250
7 W 0.500 0.500 0.750
8 O 0.000 0.500 0.000
9 O 0.000 0.500 0.500
10 O 0.212 0.424 0.249
11 O 0.212 0.424 0.751
12 O 0.212 0.788 0.249
13 O 0.212 0.788 0.751
14 O 0.424 0.212 0.249
15 O 0.424 0.212 0.751
16 O 0.500 0.000 0.000
17 O 0.500 0.000 0.500
18 O 0.500 0.500 0.000
19 O 0.500 0.500 0.500
20 O 0.576 0.788 0.249
21 O 0.576 0.788 0.751
22 O 0.788 0.212 0.249
23 O 0.788 0.212 0.751
24 O 0.788 0.576 0.249
25 O 0.788 0.576 0.751

Summary:
For the energy of formation, the calculation gives -2.143 eV per atom. For the energy above the most stable polymorph in this dataset, the calculation gives 0.00 eV per formula unit. The total DFT energy (no corrections) comes out at -7.35 eV/atom.

=====

(5)
Entry from the Materials Project database: a relaxed Tl6WO12 crystal (PBE with a Hubbard U).

Unit cell a=6.543 b=6.543 c=6.543 alpha=98.43 beta=98.43 gamma=98.43
Fractional coordinates of all 19 atoms:
1 Tl 0.105 0.635 0.805
2 Tl 0.195 0.895 0.365
3 Tl 0.365 0.195 0.895
4 Tl 0.635 0.805 0.105
5 Tl 0.805 0.105 0.635
6 Tl 0.895 0.365 0.195
7 W 0.500 0.500 0.500
8 O 0.080 0.326 0.898
9 O 0.102 0.920 0.674
10 O 0.208 0.532 0.419
11 O 0.326 0.898 0.080
12 O 0.419 0.208 0.532
13 O 0.468 0.581 0.792
14 O 0.532 0.419 0.208
15 O 0.581 0.792 0.468
16 O 0.674 0.102 0.920
17 O 0.792 0.468 0.581
18 O 0.898 0.080 0.326
19 O 0.920 0.674 0.102

Summary:
For the energy of formation, the calculation gives -1.319 eV per atom. The total DFT energy (no corrections) comes out at -5.20 eV/atom.

=====

(6)
Entry from the Materials Project database: a relaxed Tl2WO4 crystal (PBE with a Hubbard U).

Unit cell a=6.440 b=6.440 c=8.464 alpha=90.00 beta=90.00 gamma=120.00
Fractional coordinates of all 14 atoms:
1 Tl 0.000 0.000 0.000
2 Tl 0.000 0.000 0.500
3 Tl 0.333 0.667 0.314
4 Tl 0.667 0.333 0.686
5 W 0.333 0.667 0.813
6 W 0.667 0.333 0.187
7 O 0.180 0.360 0.739
8 O 0.180 0.820 0.739
9 O 0.333 0.667 0.028
10 O 0.360 0.180 0.261
11 O 0.640 0.820 0.739
12 O 0.667 0.333 0.972
13 O 0.820 0.180 0.261
14 O 0.820 0.640 0.261

Summary:
For the energy of formation, the calculation gives -1.701 eV per atom. The total DFT energy (no corrections) comes out at -6.03 eV/atom.

=====

(7)
Entry from the Materials Project database: a relaxed Tm2V2O7 crystal (PBE with a Hubbard U).

Unit cell a=7.092 b=7.092 c=7.092 alpha=60.00 beta=60.00 gamma=60.00
Fractional coordinates of all 22 atoms:
1 Tm 0.000 0.000 0.000
2 Tm 0.000 0.000 0.500
3 Tm 0.000 0.500 0.000
4 Tm 0.500 0.000 0.000
5 V 0.000 0.500 0.500
6 V 0.500 0.000 0.500
7 V 0.500 0.500 0.000
8 V 0.500 0.500 0.500
9 O 0.125 0.125 0.125
10 O 0.167 0.167 0.583
11 O 0.167 0.583 0.167
12 O 0.167 0.583 0.583
13 O 0.417 0.417 0.833
14 O 0.417 0.833 0.417
15 O 0.417 0.833 0.833
16 O 0.583 0.167 0.167
17 O 0.583 0.167 0.583
18 O 0.583 0.583 0.167
19 O 0.833 0.417 0.417
20 O 0.833 0.417 0.833
21 O 0.833 0.833 0.417
22 O 0.875 0.875 0.875

Summary:
For the energy of formation, the calculation gives -3.261 eV per atom. The total DFT energy (no corrections) comes out at -8.13 eV/atom.

=====

(8)
Entry from the Materials Project database: a relaxed TmVO4 crystal (PBE with a Hubbard U).

Unit cell a=5.940 b=5.940 c=5.940 alpha=106.34 beta=106.34 gamma=115.93
Fractional coordinates of all 12 atoms:
1 Tm 0.375 0.625 0.750
2 Tm 0.625 0.375 0.250
3 V 0.125 0.875 0.250
4 V 0.875 0.125 0.750
5 O 0.134 0.697 0.437
6 O 0.240 0.303 0.937
7 O 0.303 0.240 0.437
8 O 0.303 0.866 0.063
9 O 0.697 0.134 0.937
10 O 0.697 0.760 0.563
11 O 0.760 0.697 0.063
12 O 0.866 0.303 0.563

Summary:
For the energy of formation, the calculation gives -3.218 eV per atom. The total DFT energy (no corrections) comes out at -8.03 eV/atom.